# CaTa2Tl

A relaxed CaTa2Tl crystal (GGA-PBE, Materials Project).

Its formation energy is 0.615 eV/atom.

The space group is F-43m (No. 216) and the conventional cell measures 7.0138, 7.0138 and 7.0138 Å, with angles of 90.00, 90.00 and 90.00 degrees. The inequivalent atoms are Ca at (0.0000, 0.0000, 0.0000), Ta at (0.0000, 0.0000, 0.5000), Ta at (0.2500, 0.2500, 0.2500) and Tl at (0.2500, 0.2500, 0.7500).